1.
# PBE Na19Zr11S30, relaxed
data_Na19Zr11S30
_space_group_name_H-M_alt 'C 1 2/m 1'
_space_group_IT_number 12
_cell_length_a 20.421
_cell_length_b 11.495
_cell_length_c 11.104
_cell_angle_alpha 90.00
_cell_angle_beta 102.26
_cell_angle_gamma 90.00
loop_
_space_group_symop_operation_xyz
'x,y,z'
'-x,-y,-z'
'-x,y,-z'
'x,-y,z'
'x+1/2,y+1/2,z'
'-x+1/2,-y+1/2,-z'
'-x+1/2,y+1/2,-z'
'x+1/2,-y+1/2,z'
loop_
_atom_site_label
_atom_site_fract_x
_atom_site_fract_y
_atom_site_fract_z
Na1 0.000 0.000 0.000
Na2 0.000 0.341 0.000
Na3 0.100 0.500 0.299
Na4 0.100 0.500 0.800
Na5 0.101 0.160 0.803
Na6 0.200 0.000 0.100
Na7 0.200 0.340 0.600
Na8 0.202 0.000 0.601
Zr1 0.000 0.000 0.500
Zr2 0.000 0.337 0.500
Zr3 0.100 0.168 0.300
Zr4 0.199 0.331 0.101
S1 0.004 0.320 0.269
S2 0.008 0.000 0.264
S3 0.089 0.500 0.547
S4 0.092 0.167 0.535
S5 0.104 0.178 0.069
S6 0.113 0.500 0.053
S7 0.187 0.000 0.348
S8 0.195 0.319 0.334
S9 0.205 0.320 0.869
S10 0.214 0.000 0.853
# energy of formation from the pure elements = -1.6946 eV per atom

2.
# PBE Sr3MgTi2O7, relaxed
data_Sr3MgTi2O7
_space_group_name_H-M_alt 'I -4 m 2'
_space_group_IT_number 119
_space_group_name_Hall 'I -4 -2'
_cell_length_a 3.933
_cell_length_b 3.933
_cell_length_c 23.430
_cell_angle_alpha 90.00
_cell_angle_beta 90.00
_cell_angle_gamma 90.00
loop_
_atom_site_label
_atom_site_fract_x
_atom_site_fract_y
_atom_site_fract_z
Sr1 0.000 0.000 0.000
Sr2 0.000 0.000 0.157
Mg1 0.000 0.500 0.750
Ti1 0.000 0.000 0.418
O1 0.000 0.000 0.291
O2 0.000 0.000 0.500
O3 0.000 0.500 0.089
O4 0.000 0.500 0.590
# energy above the most stable polymorph in this dataset = 2.33 eV per formula unit
# energy of formation from the pure elements = -2.9496 eV per atom

3.
# PBE Li2Ti7Nb6O30, relaxed
data_Li2Ti7Nb6O30
_space_group_name_H-M_alt 'P 3'
_space_group_IT_number 143
_cell_length_a 5.2040
_cell_length_b 5.2040
_cell_length_c 24.0210
_cell_angle_alpha 90.00
_cell_angle_beta 90.00
_cell_angle_gamma 120.00
loop_
_space_group_symop_operation_xyz
'x,y,z'
'-y,x-y,z'
'-x+y,-x,z'
loop_
_atom_site_label
_atom_site_fract_x
_atom_site_fract_y
_atom_site_fract_z
Li1 0.0000 0.0000 0.0000
Li2 0.0000 0.0000 0.2671
Ti1 0.0000 0.0000 0.1069
Ti2 0.0000 0.0000 0.5107
Ti3 0.0000 0.0000 0.7706
Ti4 0.6667 0.3333 0.0783
Ti5 0.6667 0.3333 0.4892
Ti6 0.6667 0.3333 0.6767
Ti7 0.6667 0.3333 0.7978
Nb1 0.0000 0.0000 0.3902
Nb2 0.0000 0.0000 0.8917
Nb3 0.3333 0.6667 0.2977
Nb4 0.3333 0.6667 0.5963
Nb5 0.3333 0.6667 0.9901
Nb6 0.6667 0.3333 0.2053
O1 0.9997 0.3270 0.0453
O2 0.0000 0.6629 0.5388
O3 0.0030 0.3657 0.2432
O4 0.0553 0.7290 0.3404
O5 0.0708 0.7418 0.9458
O6 0.3175 0.0613 0.8382
O7 0.3205 0.0790 0.4473
O8 0.3541 0.2651 0.1392
O9 0.3574 0.2723 0.7401
O10 0.3896 0.0009 0.6378
# energy above the most stable polymorph in this dataset = 0.92 eV per formula unit
# energy of formation from the pure elements = -3.1487 eV per atom